A plane-wave DFT calculation with PBE with a Hubbard U was carried out for an optimized crystal structure of Li2Mn2P3O12.

abc: 8.5331 8.8721 11.9866
angles: 90.00 90.00 90.00
Closest atoms and distances in Å follow each position.
Sites, in units of the cell vectors:
Mn1 0.2495 0.9636 0.6139  6 O 1.91-2.11
Mn2 0.7505 0.0364 0.3861  6 O 1.91-2.11
Mn3 0.7495 0.5364 0.1139  6 O 1.91-2.11
Mn4 0.2505 0.4636 0.8861  6 O 1.91-2.11
Mn5 0.2505 0.0364 0.1139  6 O 1.91-2.11
Mn6 0.7495 0.9636 0.8861  6 O 1.91-2.11
Mn7 0.2495 0.5364 0.3861  6 O 1.91-2.11
Mn8 0.7505 0.4636 0.6139  6 O 1.91-2.11
O1 0.3601 0.8349 0.0836  1 P 1.55
O2 0.6769 0.9824 0.7261  1 P 1.56
O3 0.8231 0.4824 0.7739  1 P 1.56
O4 0.0776 0.8978 0.1574  1 P 1.56
O5 0.9393 0.3584 0.5745  1 P 1.54
O6 0.8601 0.8349 0.4164  1 P 1.55
O7 0.0776 0.6022 0.8426  1 P 1.56
O8 0.1399 0.1651 0.5836  1 P 1.55
O9 0.1769 0.9824 0.7739  1 P 1.56
O10 0.1399 0.3349 0.4164  1 P 1.55
O11 0.8453 0.5616 0.9710  1 P 1.53
O12 0.6399 0.3349 0.0836  1 P 1.55
O13 0.8435 0.7360 0.1818  1 P 1.54
O14 0.6565 0.2360 0.3182  1 P 1.54
O15 0.3453 0.5616 0.5290  1 P 1.53
O16 0.8231 0.0176 0.2261  1 P 1.56
O17 0.1547 0.0616 0.9710  1 P 1.53
O18 0.5607 0.6416 0.0745  1 P 1.54
O19 0.4393 0.3584 0.9255  1 P 1.54
O20 0.1769 0.5176 0.2261  1 P 1.56
O21 0.4393 0.1416 0.0745  1 P 1.54
O22 0.3435 0.7640 0.6818  1 P 1.54
O23 0.9224 0.3978 0.1574  1 P 1.56
O24 0.9224 0.1022 0.8426  1 P 1.56
O25 0.6547 0.0616 0.5290  1 P 1.53
O26 0.1565 0.2360 0.1818  1 P 1.54
O27 0.0607 0.8584 0.5745  1 P 1.54
O28 0.8435 0.7640 0.8182  1 P 1.54
O29 0.5776 0.6022 0.6574  1 P 1.56
O30 0.6565 0.2640 0.6818  1 P 1.54
O31 0.6769 0.5176 0.2739  1 P 1.56
O32 0.1547 0.4384 0.0290  1 P 1.53
O33 0.8601 0.6651 0.5836  1 P 1.55
O34 0.4224 0.1022 0.6574  1 P 1.56
O35 0.3231 0.4824 0.7261  1 P 1.56
O36 0.5776 0.8978 0.3426  1 P 1.56
O37 0.6547 0.4384 0.4710  1 P 1.53
O38 0.1565 0.2640 0.8182  1 P 1.54
O39 0.8453 0.9384 0.0290  1 P 1.53
O40 0.0607 0.6416 0.4255  1 P 1.54
O41 0.5607 0.8584 0.9255  1 P 1.54
O42 0.3435 0.7360 0.3182  1 P 1.54
O43 0.3601 0.6651 0.9164  1 P 1.55
O44 0.9393 0.1416 0.4255  1 P 1.54
O45 0.3453 0.9384 0.4710  1 P 1.53
O46 0.4224 0.3978 0.3426  1 P 1.56
O47 0.3231 0.0176 0.2739  1 P 1.56
O48 0.6399 0.1651 0.9164  1 P 1.55
Li1 0.7825 0.2778 0.8188  4 O 1.92-1.98
Li2 0.2825 0.2222 0.3188  4 O 1.92-1.98
Li3 0.2175 0.7222 0.1812  4 O 1.92-1.98
Li4 0.7825 0.2222 0.1812  4 O 1.92-1.98
Li5 0.7175 0.7778 0.6812  4 O 1.92-1.98
Li6 0.7175 0.7222 0.3188  4 O 1.92-1.98
Li7 0.2175 0.7778 0.8188  4 O 1.92-1.98
Li8 0.2825 0.2778 0.6812  4 O 1.92-1.98
P1 0.5333 0.2500 0.0000  4 O 1.54-1.55
P2 0.0333 0.2500 0.5000  4 O 1.54-1.55
P3 0.3955 0.6040 0.6475  4 O 1.53-1.56
P4 0.6045 0.1040 0.6475  4 O 1.53-1.56
P5 0.4667 0.7500 0.0000  4 O 1.54-1.55
P6 0.1045 0.3960 0.1475  4 O 1.53-1.56
P7 0.6045 0.3960 0.3525  4 O 1.53-1.56
P8 0.8955 0.6040 0.8525  4 O 1.53-1.56
P9 0.3955 0.8960 0.3525  4 O 1.53-1.56
P10 0.8955 0.8960 0.1475  4 O 1.53-1.56
P11 0.1045 0.1040 0.8525  4 O 1.53-1.56
P12 0.9667 0.7500 0.5000  4 O 1.54-1.55

## Properties
Its space group is Pbcn. The magnetization is 28.0 Bohr magnetons per cell. The value obtained for the calculated density is 2.99 g/cm³. The energy comes out at -0.5147 Ry per atom. The value obtained for the energy above the lowest structure with this stoichiometry is 4 meV per atom. Its formation energy is -238 kJ per mole of atoms.